Version i
# Mg3Si4

An optimized crystal structure of Mg3Si4 (PBE-GGA, Materials Project).

Unit cell a=6.585 b=7.147 c=11.810 alpha=102.86 beta=90.00 gamma=107.90
Fractional positions:
Si1 0.653 0.738 0.423
Si2 0.651 0.056 0.057
Mg1 0.998 0.247 0.902
Si3 0.195 0.192 0.511
Si4 0.402 0.136 0.337
Mg2 0.349 0.668 0.922
Si5 0.890 0.139 0.224
Mg3 0.775 0.182 0.455
Mg4 0.098 0.525 0.661
Si6 0.085 0.488 0.278
Si7 0.183 0.935 0.816
Mg5 0.599 0.536 0.623
Mg6 0.353 0.891 0.541
Mg7 0.200 0.035 0.087
Mg8 0.507 0.817 0.218
Si8 0.696 0.248 0.714
Si9 0.529 0.885 0.752
Si10 0.335 0.458 0.410
Mg9 0.011 0.861 0.300
Si11 0.886 0.569 0.862
Si12 0.774 0.863 0.890
Mg10 0.648 0.425 0.217
Si13 0.939 0.609 0.468
Si14 0.277 0.452 0.092
Mg11 0.529 0.299 0.939
Mg12 0.914 0.961 0.637
Si15 0.003 0.612 0.071
Si16 0.303 0.267 0.726

Calculated values
Total magnetization (μB per formula unit): 0.0
Space-group type: P1
Mass density (kg/m³): 2393

Version ii
# Mg3Si4

An optimized crystal structure of Mg3Si4 (PBE-GGA, Materials Project).

Unit cell a=5.341 b=6.427 c=8.315 alpha=99.27 beta=92.65 gamma=100.60
Fractional positions:
Si1 0.880 0.036 0.086
Si2 0.075 0.922 0.838
Mg1 0.113 0.858 0.470
Mg2 0.405 0.582 0.780
Si3 0.177 0.193 0.316
Si4 0.538 0.734 0.125
Mg3 0.648 0.090 0.400
Mg4 0.908 0.318 0.812
Si5 0.694 0.886 0.663
Mg5 0.557 0.562 0.408
Si6 0.096 0.695 0.040
Mg6 0.480 0.280 0.064
Si7 0.418 0.140 0.733
Si8 0.017 0.449 0.510

Calculated values
Total magnetization (μB per formula unit): 0.0
Space-group type: P1
Mass density (kg/m³): 2229

Version iii
# Mg3Si4

An optimized crystal structure of Mg3Si4 (PBE-GGA, Materials Project).

Unit cell a=3.935 b=8.017 c=9.959 alpha=62.08 beta=77.58 gamma=70.80
Fractional positions:
Mg1 0.248 0.580 0.974
Mg2 0.647 0.185 0.763
Si1 0.130 0.975 0.237
Si2 0.102 0.659 0.246
Si3 0.391 0.221 0.241
Mg3 0.915 0.006 0.517
Mg4 0.952 0.272 0.977
Si4 0.392 0.569 0.623
Si5 0.783 0.641 0.736
Mg5 0.573 0.854 0.033
Si6 0.627 0.818 0.393
Si7 0.745 0.425 0.258
Si8 0.334 0.947 0.740
Mg6 0.168 0.347 0.509

Calculated values
Total magnetization (μB per formula unit): 0.0
Space-group type: P1
Mass density (kg/m³): 2353

Most stable = version i

Version i
# Mg2Si3

An optimized crystal structure of Mg2Si3 (PBE-GGA, Materials Project).

Unit cell a=4.822 b=5.883 c=7.302 alpha=97.87 beta=102.37 gamma=107.59
Fractional positions:
Si1 0.196 0.417 0.562
Si2 0.360 0.223 0.307
Si3 0.282 0.314 0.915
Mg1 0.323 0.759 0.313
Mg2 0.677 0.241 0.687
Si4 0.718 0.686 0.085
Mg3 0.807 0.190 0.104
Mg4 0.193 0.810 0.896
Si5 0.640 0.777 0.693
Si6 0.804 0.583 0.438

Calculated values
Total magnetization (μB per formula unit): 0.0
Space-group type: P-1
Mass density (kg/m³): 2343

Version ii
# Mg2Si3

An optimized crystal structure of Mg2Si3 (PBE-GGA, Materials Project).

Unit cell a=3.733 b=5.092 c=19.950 alpha=89.64 beta=95.02 gamma=109.64
Fractional positions:
Si1 0.293 0.793 0.815
Si2 0.292 0.626 0.968
Mg1 0.830 0.208 0.442
Mg2 0.361 0.419 0.312
Mg3 0.996 0.069 0.927
Mg4 0.170 0.792 0.558
Si3 0.089 0.811 0.375
Si4 0.911 0.189 0.625
Mg5 0.004 0.931 0.073
Mg6 0.997 0.226 0.784
Si5 0.458 0.361 0.550
Si6 0.698 0.531 0.874
Si7 0.347 0.990 0.700
Si8 0.707 0.207 0.185
Si9 0.653 0.010 0.300
Mg7 0.639 0.581 0.688
Si10 0.542 0.639 0.450
Si11 0.302 0.469 0.126
Si12 0.708 0.374 0.032
Mg8 0.003 0.774 0.216

Calculated values
Total magnetization (μB per formula unit): 0.0
Space-group type: P-1
Mass density (kg/m³): 2482

Most stable = version i

Version i
# Mg2Si3

An optimized crystal structure of Mg2Si3 (PBE-GGA, Materials Project).

Unit cell a=6.923 b=5.605 c=14.309 alpha=64.51 beta=93.66 gamma=54.42
Fractional positions:
Si1 0.575 0.033 0.152
Mg1 0.610 0.560 0.523
Si2 0.205 0.314 0.191
Si3 0.541 0.474 0.983
Si4 0.825 0.270 0.401
Si5 0.905 0.730 0.447
Mg2 0.482 0.189 0.489
Si6 0.184 0.002 0.579
Si7 0.713 0.134 0.786
Si8 0.392 0.354 0.862
Mg3 0.850 0.233 0.218
Si9 0.411 0.927 0.021
Si10 0.285 0.466 0.616
Si11 0.981 0.798 0.697
Mg4 0.917 0.512 0.987
Mg5 0.344 0.676 0.231
Si12 0.009 0.545 0.308
Mg6 0.123 0.133 0.765
Mg7 0.019 0.926 0.993
Mg8 0.629 0.720 0.750

Calculated values
Total magnetization (μB per formula unit): 0.0
Space-group type: P1
Mass density (kg/m³): 2396

Version ii
# Mg2Si3

An optimized crystal structure of Mg2Si3 (PBE-GGA, Materials Project).

Unit cell a=16.619 b=4.177 c=5.550 alpha=111.65 beta=88.71 gamma=89.90
Fractional positions:
Si1 0.120 0.849 0.607
Mg1 0.935 0.046 0.997
Si2 0.674 0.577 0.041
Si3 0.825 0.525 0.962
Mg2 0.435 0.545 0.997
Si4 0.430 0.848 0.590
Si5 0.571 0.753 0.412
Si6 0.070 0.251 0.408
Mg3 0.564 0.055 0.005
Mg4 0.064 0.554 0.001
Mg5 0.762 0.195 0.292
Si7 0.881 0.750 0.391
Si8 0.325 0.024 0.961
Mg6 0.262 0.694 0.290
Si9 0.620 0.351 0.611
Si10 0.381 0.249 0.389
Si11 0.930 0.348 0.591
Si12 0.174 0.075 0.037
Mg7 0.739 0.906 0.711
Mg8 0.239 0.405 0.708

Calculated values
Total magnetization (μB per formula unit): 0.0
Space-group type: P1
Mass density (kg/m³): 2465

Most stable = version ii

Version i
# Mg4Si7

An optimized crystal structure of Mg4Si7 (PBE-GGA, Materials Project).

Unit cell a=3.935 b=6.815 c=14.670 alpha=86.50 beta=90.00 gamma=90.00
Fractional positions:
Si1 0.000 0.456 0.208
Si2 0.500 0.934 0.449
Mg1 0.500 0.810 0.932
Si3 0.000 0.131 0.963
Si4 0.500 0.172 0.561
Mg2 0.000 0.789 0.098
Si5 0.500 0.006 0.709
Si6 0.000 0.500 0.961
Si7 0.500 0.644 0.696
Si8 0.500 0.480 0.076
Mg3 0.500 0.555 0.504
Si9 0.500 0.467 0.315
Si10 0.000 0.652 0.805
Mg4 0.000 0.856 0.583
Mg5 0.000 0.253 0.426
Mg6 0.500 0.334 0.840
Mg7 0.000 0.353 0.662
Si11 0.000 0.096 0.204
Mg8 0.000 0.767 0.334
Si12 0.000 0.019 0.807
Si13 0.500 0.106 0.302
Si14 0.500 0.115 0.071

Calculated values
Total magnetization (μB per formula unit): 0.0
Space-group type: Pm
Mass density (kg/m³): 2485

Version ii
# Mg4Si7

An optimized crystal structure of Mg4Si7 (PBE-GGA, Materials Project).

Unit cell a=4.375 b=6.676 c=13.257 alpha=85.17 beta=89.72 gamma=89.61
Fractional positions:
Mg1 0.227 0.732 0.421
Si1 0.729 0.283 0.096
Mg2 0.227 0.092 0.581
Mg3 0.727 0.424 0.498
Mg4 0.727 0.521 0.839
Mg5 0.729 0.061 0.912
Si2 0.232 0.893 0.025
Si3 0.229 0.278 0.982
Si4 0.226 0.226 0.794
Si5 0.732 0.914 0.129
Mg6 0.226 0.545 0.168
Si6 0.728 0.356 0.274
Si7 0.728 0.073 0.407
Si8 0.725 0.799 0.552
Si9 0.715 0.655 0.017
Si10 0.226 0.849 0.821
Si11 0.728 0.896 0.723
Si12 0.227 0.285 0.388
Si13 0.726 0.264 0.693
Mg7 0.227 0.048 0.232
Mg8 0.226 0.583 0.658
Si14 0.729 0.726 0.294

Calculated values
Total magnetization (μB per formula unit): 0.0
Space-group type: P1
Mass density (kg/m³): 2529

Most stable = version i

Version i
# Mg14SiSn

An optimized crystal structure of Mg14SiSn (PBE-GGA, Materials Project).

Unit cell a=6.265 b=6.595 c=10.169 alpha=90.00 beta=90.00 gamma=121.76
Fractional positions:
Mg1 0.833 0.166 0.376
Mg2 0.171 0.335 0.625
Si1 0.162 0.831 0.125
Sn1 0.165 0.332 0.125
Mg3 0.838 0.669 0.370
Mg4 0.838 0.669 0.880
Mg5 0.328 0.159 0.369
Mg6 0.170 0.835 0.625
Mg7 0.328 0.669 0.881
Mg8 0.833 0.166 0.874
Mg9 0.671 0.335 0.125
Mg10 0.668 0.335 0.625
Mg11 0.668 0.833 0.625
Mg12 0.671 0.836 0.125
Mg13 0.328 0.159 0.881
Mg14 0.328 0.669 0.369

Calculated values
Total magnetization (μB per formula unit): 0.0
Space-group type: Amm2
Mass density (kg/m³): 2264

Version ii
# Mg14SiSn

An optimized crystal structure of Mg14SiSn (PBE-GGA, Materials Project).

Unit cell a=6.307 b=6.307 c=10.242 alpha=90.00 beta=90.00 gamma=120.00
Fractional positions:
Mg1 0.334 0.667 0.869
Mg2 0.334 0.166 0.869
Mg3 0.668 0.832 0.625
Mg4 0.833 0.166 0.381
Mg5 0.334 0.667 0.381
Sn1 0.167 0.333 0.125
Mg6 0.668 0.335 0.625
Mg7 0.833 0.667 0.875
Mg8 0.833 0.667 0.375
Mg9 0.167 0.833 0.125
Mg10 0.165 0.832 0.625
Mg11 0.833 0.166 0.869
Mg12 0.334 0.166 0.381
Si1 0.167 0.333 0.625
Mg13 0.667 0.833 0.125
Mg14 0.667 0.333 0.125

Calculated values
Total magnetization (μB per formula unit): 0.0
Space-group type: P-6m2
Mass density (kg/m³): 2292

Most stable = version ii

Version i
# SrMg14Si

An optimized crystal structure of SrMg14Si (PBE-GGA, Materials Project).

Unit cell a=6.441 b=6.441 c=10.604 alpha=90.00 beta=90.00 gamma=120.00
Fractional positions:
Mg1 0.333 0.167 0.889
Mg2 0.833 0.167 0.889
Sr1 0.167 0.333 0.625
Mg3 0.833 0.167 0.361
Mg4 0.333 0.667 0.361
Mg5 0.176 0.838 0.625
Mg6 0.333 0.167 0.361
Mg7 0.833 0.667 0.867
Mg8 0.669 0.338 0.125
Mg9 0.162 0.831 0.125
Mg10 0.833 0.667 0.383
Mg11 0.669 0.831 0.125
Si1 0.167 0.333 0.125
Mg12 0.662 0.324 0.625
Mg13 0.662 0.838 0.625
Mg14 0.333 0.667 0.889

Calculated values
Space-group type: P-6m2
Mass density (kg/m³): 1987

Version ii
# SrMg14Si

An optimized crystal structure of SrMg14Si (PBE-GGA, Materials Project).

Unit cell a=6.558 b=6.337 c=10.466 alpha=90.00 beta=90.00 gamma=118.89
Fractional positions:
Mg1 0.159 0.329 0.625
Mg2 0.167 0.834 0.625
Mg3 0.339 0.176 0.383
Mg4 0.339 0.176 0.867
Mg5 0.665 0.838 0.625
Si1 0.205 0.353 0.125
Mg6 0.828 0.664 0.860
Mg7 0.847 0.174 0.893
Mg8 0.339 0.663 0.383
Mg9 0.339 0.663 0.867
Mg10 0.642 0.811 0.125
Mg11 0.828 0.664 0.390
Sr1 0.150 0.825 0.125
Mg12 0.665 0.327 0.625
Mg13 0.642 0.331 0.125
Mg14 0.847 0.174 0.357

Calculated values
Total magnetization (μB per formula unit): 0.0
Space-group type: Amm2
Mass density (kg/m³): 1988

Most stable = version ii

Version i
# Mg6TiSi

An optimized crystal structure of Mg6TiSi (PBE-GGA, Materials Project).

Unit cell a=5.013 b=5.854 c=10.941 alpha=90.00 beta=90.00 gamma=90.00
Fractional positions:
Mg1 0.000 0.246 0.082
Mg2 0.000 0.000 0.328
Si1 0.500 0.500 0.168
Mg3 0.000 0.254 0.582
Mg4 0.500 0.751 0.421
Mg5 0.000 0.000 0.825
Ti1 0.500 0.500 0.673
Mg6 0.000 0.746 0.582
Mg7 0.500 0.249 0.421
Mg8 0.000 0.500 0.828
Mg9 0.000 0.500 0.325
Mg10 0.500 0.251 0.921
Si2 0.500 0.000 0.668
Ti2 0.500 0.000 0.173
Mg11 0.500 0.749 0.921
Mg12 0.000 0.754 0.082

Calculated values
Total magnetization (μB per formula unit): 0.7
Mass density (kg/m³): 2294

Version ii
# Mg6TiSi

An optimized crystal structure of Mg6TiSi (PBE-GGA, Materials Project).

Unit cell a=4.784 b=6.290 c=10.711 alpha=90.00 beta=90.00 gamma=90.00
Fractional positions:
Mg1 0.500 0.000 0.167
Si1 0.500 0.000 0.685
Mg2 0.000 0.500 0.833
Si2 0.500 0.500 0.185
Mg3 0.500 0.500 0.667
Mg4 0.500 0.747 0.413
Mg5 0.500 0.753 0.913
Mg6 0.500 0.253 0.413
Ti1 0.000 0.000 0.822
Mg7 0.000 0.000 0.333
Mg8 0.500 0.247 0.913
Mg9 0.000 0.253 0.083
Mg10 0.000 0.753 0.583
Mg11 0.000 0.247 0.583
Mg12 0.000 0.747 0.083
Ti2 0.000 0.500 0.322

Calculated values
Total magnetization (μB per formula unit): 0.4
Mass density (kg/m³): 2285

Most stable = version ii